1.
## Sr3MnBiO6 (GGA+U)

Data for crystalline Sr3MnBiO6 at its relaxed geometry.

## Properties
magnetic moment: 4.00 μB/f.u.
VASP energy: -0.470 Ry/atom
E_form: -2582 meV per atom
SG: P2_1/c (14)

Cell and atoms, written as POSCAR:
```
Sr3MnBiO6
1.0
5.385 0.000 0.000
0.000 24.019 0.000
-5.380 0.000 5.406
Sr Mn Bi O
12 4 4 24
direct
0.247 0.056 0.254
0.247 0.444 0.754
0.251 0.673 0.247
0.251 0.827 0.747
0.252 0.672 0.749
0.252 0.828 0.249
0.748 0.172 0.751
0.748 0.328 0.251
0.749 0.173 0.253
0.749 0.327 0.753
0.753 0.556 0.246
0.753 0.944 0.746
0.249 0.245 0.250
0.249 0.255 0.750
0.751 0.745 0.250
0.751 0.755 0.750
0.248 0.058 0.731
0.248 0.442 0.231
0.752 0.558 0.769
0.752 0.942 0.269
0.169 0.562 0.168
0.169 0.938 0.668
0.249 0.149 0.755
0.249 0.154 0.248
0.249 0.249 0.500
0.249 0.251 0.000
0.249 0.346 0.748
0.249 0.351 0.255
0.251 0.749 0.500
0.251 0.751 0.000
0.330 0.555 0.751
0.330 0.945 0.251
0.670 0.055 0.749
0.670 0.445 0.249
0.749 0.249 0.000
0.749 0.251 0.500
0.751 0.649 0.745
0.751 0.654 0.252
0.751 0.749 0.000
0.751 0.751 0.500
0.751 0.846 0.752
0.751 0.851 0.245
0.831 0.062 0.332
0.831 0.438 0.832
```

=====

2.
## LiMnSiO4 (GGA+U)

Data for crystalline LiMnSiO4 at its relaxed geometry.

## Properties
magnetic moment: 4.00 μB/f.u.
VASP energy: -0.525 Ry/atom
E_form: -2590 meV per atom
SG: Pna2_1 (33)

Cell and atoms, written as POSCAR:
```
LiMnSiO4
1.0
10.204 0.000 0.000
0.000 4.799 0.000
0.000 0.000 6.304
Li Mn Si O
4 4 4 16
direct
0.219 0.042 0.000
0.281 0.542 0.500
0.719 0.458 0.000
0.781 0.958 0.500
0.000 0.500 0.252
0.000 0.500 0.752
0.500 0.000 0.252
0.500 0.000 0.752
0.091 0.093 0.502
0.409 0.593 0.002
0.591 0.407 0.502
0.909 0.907 0.002
0.058 0.743 0.002
0.092 0.757 0.502
0.148 0.241 0.721
0.148 0.242 0.284
0.352 0.741 0.221
0.352 0.742 0.784
0.408 0.257 0.002
0.442 0.243 0.502
0.558 0.757 0.002
0.592 0.743 0.502
0.648 0.258 0.284
0.648 0.259 0.721
0.852 0.758 0.784
0.852 0.759 0.221
0.908 0.243 0.002
0.942 0.257 0.502
```